No. 1
NaPdF3: relaxed, meta-GGA r2SCAN.

Output
- formation energy from the elements (eV/atom) = -2.04
- symmetry = P-1, No. 2

Cell and atoms, written as POSCAR:
```
NaPdF3
1.0
6.637 0.000 0.000
-0.157 6.749 0.000
-2.078 -3.305 6.183
Na Pd F
4 4 12
direct
0.000 0.000 0.000
0.000 0.000 0.500
0.490 0.257 0.491
0.510 0.743 0.509
0.000 0.500 0.000
0.000 0.500 0.500
0.473 0.239 0.965
0.527 0.761 0.035
0.115 0.220 0.366
0.124 0.636 0.352
0.163 0.216 0.914
0.220 0.750 0.006
0.394 0.071 0.650
0.467 0.601 0.722
0.533 0.399 0.278
0.606 0.929 0.350
0.780 0.250 0.994
0.837 0.784 0.086
0.876 0.364 0.648
0.885 0.780 0.634
```

***

No. 2
Na2PtF6: relaxed, meta-GGA r2SCAN.

Output
- formation energy from the elements (eV/atom) = -2.27
- symmetry = P321, No. 150

Cell and atoms, written as POSCAR:
```
Na2PtF6
1.0
9.258 0.000 0.000
-4.629 8.018 0.000
0.000 0.000 5.099
Na Pt F
6 3 18
direct
0.000 0.298 0.000
0.000 0.632 0.500
0.298 0.000 0.000
0.368 0.368 0.500
0.632 0.000 0.500
0.702 0.702 0.000
0.000 0.000 0.500
0.333 0.667 0.003
0.667 0.333 0.997
0.095 0.892 0.290
0.108 0.203 0.290
0.133 0.548 0.219
0.203 0.108 0.710
0.219 0.754 0.788
0.246 0.465 0.788
0.415 0.867 0.219
0.452 0.585 0.219
0.465 0.246 0.212
0.535 0.781 0.788
0.548 0.133 0.781
0.585 0.452 0.781
0.754 0.219 0.212
0.781 0.535 0.212
0.797 0.905 0.290
0.867 0.415 0.781
0.892 0.095 0.710
0.905 0.797 0.710
```

***

No. 3
NaPuF4: relaxed, meta-GGA r2SCAN.

Output
- formation energy from the elements (eV/atom) = -3.78
- symmetry = P1, No. 1

Cell and atoms, written as POSCAR:
```
NaPuF4
1.0
6.062 0.000 0.000
3.025 6.441 0.000
3.018 2.101 6.100
Na Pu F
3 3 12
direct
0.000 0.000 0.000
0.035 0.473 0.485
0.352 0.045 0.263
0.346 0.556 0.763
0.684 0.478 0.172
0.684 0.978 0.662
0.097 0.465 0.141
0.098 0.935 0.665
0.309 0.198 0.854
0.315 0.659 0.400
0.398 0.749 0.941
0.427 0.233 0.420
0.648 0.306 0.974
0.648 0.769 0.504
0.702 0.852 0.041
0.715 0.348 0.548
0.929 0.589 0.783
0.932 0.100 0.286
```

***

No. 4
Rb2NaVF6: relaxed, meta-GGA r2SCAN.

Output
- formation energy from the elements (eV/atom) = -3.17
- symmetry = Fm-3m, No. 225

Cell and atoms, written as POSCAR:
```
Rb2NaVF6
1.0
0.000 4.212 4.212
4.212 0.000 4.212
4.212 4.212 0.000
Rb Na V F
2 1 1 6
direct
0.250 0.250 0.250
0.750 0.750 0.750
0.000 0.000 0.000
0.500 0.500 0.500
0.269 0.269 0.731
0.269 0.731 0.269
0.269 0.731 0.731
0.731 0.269 0.269
0.731 0.269 0.731
0.731 0.731 0.269
```

***

No. 5
NaSbF4: relaxed, meta-GGA r2SCAN.

Output
- formation energy from the elements (eV/atom) = -2.69
- symmetry = P2_1/c, No. 14

Cell and atoms, written as POSCAR:
```
NaSbF4
1.0
7.979 0.000 0.000
0.000 5.454 0.000
-0.732 0.000 8.378
Na Sb F
4 4 16
direct
0.134 0.209 0.163
0.134 0.291 0.663
0.866 0.709 0.337
0.866 0.791 0.837
0.335 0.711 0.365
0.335 0.789 0.865
0.665 0.211 0.135
0.665 0.289 0.635
0.118 0.612 0.838
0.118 0.888 0.338
0.174 0.069 0.916
0.174 0.431 0.416
0.277 0.571 0.151
0.277 0.929 0.651
0.393 0.014 0.226
0.393 0.486 0.726
0.607 0.514 0.274
0.607 0.986 0.774
0.723 0.071 0.349
0.723 0.429 0.849
0.826 0.569 0.584
0.826 0.931 0.084
0.882 0.112 0.662
0.882 0.388 0.162
```

***

No. 6
Na2SbF5: relaxed, meta-GGA r2SCAN.

Output
- formation energy from the elements (eV/atom) = -2.78
- symmetry = P2_12_12_1, No. 19

Cell and atoms, written as POSCAR:
```
Na2SbF5
1.0
5.401 0.000 0.000
0.000 7.999 0.000
0.000 0.000 11.084
Na Sb F
8 4 20
direct
0.007 0.102 0.241
0.073 0.647 0.937
0.427 0.353 0.437
0.493 0.898 0.741
0.507 0.398 0.759
0.573 0.853 0.063
0.927 0.147 0.563
0.993 0.602 0.259
0.007 0.081 0.883
0.493 0.919 0.383
0.507 0.419 0.117
0.993 0.581 0.617
0.107 0.004 0.712
0.139 0.551 0.444
0.173 0.354 0.199
0.180 0.365 0.626
0.224 0.100 0.427
0.276 0.900 0.927
0.320 0.635 0.126
0.327 0.646 0.699
0.361 0.449 0.944
0.393 0.996 0.212
0.607 0.496 0.288
0.639 0.949 0.556
0.673 0.146 0.801
0.680 0.135 0.374
0.724 0.400 0.573
0.776 0.600 0.073
0.820 0.865 0.874
0.827 0.854 0.301
0.861 0.051 0.056
0.893 0.504 0.788
```

***

No. 7
Na2SiF6: relaxed, meta-GGA r2SCAN.

Output
- formation energy from the elements (eV/atom) = -3.32
- symmetry = P321, No. 150

Cell and atoms, written as POSCAR:
```
Na2SiF6
1.0
8.803 0.000 0.000
-4.401 7.623 0.000
0.000 0.000 4.968
Na Si F
6 3 18
direct
0.000 0.290 0.000
0.000 0.625 0.500
0.290 0.000 0.000
0.375 0.375 0.500
0.625 0.000 0.500
0.710 0.710 0.000
0.000 0.000 0.500
0.333 0.667 0.006
0.667 0.333 0.994
0.085 0.903 0.305
0.097 0.182 0.305
0.152 0.557 0.203
0.182 0.097 0.695
0.226 0.741 0.809
0.259 0.485 0.809
0.405 0.848 0.203
0.443 0.595 0.203
0.485 0.259 0.191
0.515 0.774 0.809
0.557 0.152 0.797
0.595 0.443 0.797
0.741 0.226 0.191
0.774 0.515 0.191
0.818 0.915 0.305
0.848 0.405 0.797
0.903 0.085 0.695
0.915 0.818 0.695
```

***

No. 8
Na2SnF6: relaxed, meta-GGA r2SCAN.

Output
- formation energy from the elements (eV/atom) = -2.91
- symmetry = P4_2/mnm, No. 136

Cell and atoms, written as POSCAR:
```
Na2SnF6
1.0
5.023 0.000 0.000
0.000 5.023 0.000
0.000 0.000 10.031
Na Sn F
4 2 12
direct
0.000 0.000 0.164
0.000 0.000 0.836
0.500 0.500 0.336
0.500 0.500 0.664
0.000 0.000 0.500
0.500 0.500 0.000
0.188 0.188 0.354
0.188 0.188 0.646
0.221 0.221 0.000
0.279 0.721 0.500
0.312 0.688 0.146
0.312 0.688 0.854
0.688 0.312 0.146
0.688 0.312 0.854
0.721 0.279 0.500
0.779 0.779 0.000
0.812 0.812 0.354
0.812 0.812 0.646
```

***

No. 9
Na3TaF8: relaxed, meta-GGA r2SCAN.

Output
- formation energy from the elements (eV/atom) = -3.32
- symmetry = C2/c, No. 15

Cell and atoms, written as POSCAR:
```
Na3TaF8
1.0
5.723 -2.656 0.000
5.723 2.656 0.000
-5.621 0.000 9.494
Na Ta F
6 2 16
direct
0.000 0.500 0.500
0.106 0.622 0.899
0.378 0.894 0.601
0.500 0.000 0.000
0.622 0.106 0.399
0.894 0.378 0.101
0.316 0.684 0.250
0.684 0.316 0.750
0.049 0.266 0.891
0.065 0.812 0.363
0.188 0.935 0.137
0.266 0.049 0.391
0.317 0.345 0.714
0.345 0.317 0.214
0.402 0.483 0.582
0.483 0.402 0.082
0.517 0.598 0.918
0.598 0.517 0.418
0.655 0.683 0.786
0.683 0.655 0.286
0.734 0.951 0.609
0.812 0.065 0.863
0.935 0.188 0.637
0.951 0.734 0.109
```

***

No. 10
Na2TcF6: relaxed, meta-GGA r2SCAN.

Output
- formation energy from the elements (eV/atom) = -2.69
- symmetry = P-3m1, No. 164

Cell and atoms, written as POSCAR:
```
Na2TcF6
1.0
5.544 0.000 0.000
-2.772 4.801 0.000
0.000 0.000 4.214
Na Tc F
2 1 6
direct
0.333 0.667 0.175
0.667 0.333 0.825
0.000 0.000 0.500
0.171 0.343 0.743
0.171 0.829 0.743
0.343 0.171 0.257
0.657 0.829 0.743
0.829 0.171 0.257
0.829 0.657 0.257
```

***

No. 11
Na2ThF6: relaxed, meta-GGA r2SCAN.

Output
- formation energy from the elements (eV/atom) = -3.80
- symmetry = Immm, No. 71

Cell and atoms, written as POSCAR:
```
Na2ThF6
1.0
-2.026 2.748 5.723
2.026 -2.748 5.723
2.026 2.748 -5.723
Na Th F
2 1 6
direct
0.175 0.175 0.000
0.825 0.825 0.000
0.500 0.500 0.000
0.094 0.342 0.753
0.265 0.000 0.265
0.411 0.658 0.753
0.589 0.342 0.247
0.735 0.000 0.735
0.906 0.658 0.247
```

***

No. 12
Na2ThF6: relaxed, meta-GGA r2SCAN.

Output
- formation energy from the elements (eV/atom) = -3.83
- symmetry = P321, No. 150

Cell and atoms, written as POSCAR:
```
Na2ThF6
1.0
5.907 0.000 0.000
-2.953 5.115 0.000
0.000 0.000 3.836
Na Th F
2 1 6
direct
0.333 0.667 0.408
0.667 0.333 0.592
0.000 0.000 0.000
0.000 0.254 0.500
0.000 0.615 0.000
0.254 0.000 0.500
0.385 0.385 0.000
0.615 0.000 0.000
0.746 0.746 0.500
```

***

No. 13
Na2ThF6: relaxed, meta-GGA r2SCAN.

Output
- formation energy from the elements (eV/atom) = -3.80
- symmetry = C2/c, No. 15

Cell and atoms, written as POSCAR:
```
Na2ThF6
1.0
3.361 -5.818 0.000
3.361 5.818 0.000
-2.260 0.000 6.479
Na Th F
4 2 12
direct
0.080 0.920 0.750
0.241 0.759 0.250
0.759 0.241 0.750
0.920 0.080 0.250
0.406 0.594 0.750
0.594 0.406 0.250
0.063 0.225 0.627
0.131 0.630 0.874
0.225 0.063 0.127
0.312 0.472 0.382
0.370 0.869 0.626
0.472 0.312 0.882
0.528 0.688 0.118
0.630 0.131 0.374
0.688 0.528 0.618
0.775 0.937 0.873
0.869 0.370 0.126
0.937 0.775 0.373
```

***

No. 14
Na3TiF6: relaxed, meta-GGA r2SCAN.

Output
- formation energy from the elements (eV/atom) = -3.27
- symmetry = P2_1/c, No. 14

Cell and atoms, written as POSCAR:
```
Na3TiF6
1.0
5.501 0.000 0.000
0.000 5.686 0.000
-5.350 0.000 7.954
Na Ti F
6 2 12
direct
0.000 0.000 0.000
0.000 0.500 0.500
0.227 0.061 0.742
0.227 0.439 0.242
0.773 0.561 0.758
0.773 0.939 0.258
0.500 0.000 0.500
0.500 0.500 0.000
0.148 0.176 0.445
0.148 0.324 0.945
0.251 0.719 0.422
0.251 0.781 0.922
0.392 0.065 0.266
0.392 0.435 0.766
0.608 0.565 0.234
0.608 0.935 0.734
0.749 0.219 0.078
0.749 0.281 0.578
0.852 0.676 0.055
0.852 0.824 0.555
```

***

No. 15
NaTi3F10: relaxed, meta-GGA r2SCAN.

Output
- formation energy from the elements (eV/atom) = -3.52
- symmetry = Cc, No. 9

Cell and atoms, written as POSCAR:
```
NaTi3F10
1.0
3.774 -7.915 0.000
3.774 7.915 0.000
-3.773 0.000 6.669
Na Ti F
2 6 20
direct
0.125 0.875 0.500
0.875 0.125 0.000
0.155 0.906 0.997
0.403 0.652 0.999
0.407 0.658 0.501
0.652 0.403 0.499
0.658 0.407 0.001
0.906 0.155 0.497
0.026 0.043 0.494
0.043 0.026 0.994
0.101 0.357 0.394
0.119 0.374 0.786
0.275 0.779 0.999
0.298 0.782 0.505
0.337 0.582 0.213
0.357 0.101 0.894
0.374 0.119 0.286
0.492 0.736 0.795
0.526 0.530 0.500
0.530 0.526 0.000
0.582 0.337 0.713
0.690 0.946 0.204
0.712 0.957 0.605
0.736 0.492 0.295
0.779 0.275 0.499
0.782 0.298 0.005
0.946 0.690 0.704
0.957 0.712 0.105
```